P:
{"formula": "DyP2O2", "functional": "GGA-PBE", "state": "optimized geometry", "lattice": [[0.0413, -6.6171, -4.2465], [-6.6464, 2.2898, 3.5217], [1.5900, 5.7046, -5.1720]], "species": ["O", "O", "O", "O", "O", "O", "O", "O", "P", "P", "P", "P", "P", "P", "P", "P", "Dy", "Dy", "Dy", "Dy"], "frac_coords": [[0.8723, 0.5227, 0.6504], [0.4719, 0.6223, 0.8496], [0.3777, 0.5281, 0.1504], [0.8723, 0.2219, 0.3496], [0.7781, 0.1277, 0.6504], [0.4773, 0.1277, 0.3496], [0.3777, 0.2273, 0.8496], [0.7727, 0.6223, 0.1504], [0.4873, 0.7753, 0.2880], [0.7627, 0.5507, 0.7880], [0.4873, 0.1993, 0.7120], [0.4493, 0.2373, 0.2120], [0.2247, 0.5127, 0.7120], [0.0253, 0.2373, 0.7880], [0.7627, 0.9747, 0.2120], [0.8007, 0.5127, 0.2880], [0.1250, 0.8750, 0.2500], [0.1250, 0.8750, 0.7500], [0.6250, 0.8750, 0.7500], [0.1250, 0.3750, 0.2500]], "total_magnetization_mub_per_cell": 0.00, "vol_a3_per_atom": 18.3, "sg": "I4_1/amd"}

Q:
{"formula": "DyP2O2", "functional": "GGA-PBE", "state": "optimized geometry", "lattice": [[-4.7169, -7.4736, 0.9343], [-7.5171, 0.0282, -4.7401], [8.5059, 1.7399, -1.8973]], "species": ["O", "O", "O", "O", "O", "O", "O", "O", "Dy", "Dy", "Dy", "Dy", "P", "P", "P", "P", "P", "P", "P", "P"], "frac_coords": [[0.0600, 0.2728, 0.7873], [0.0228, 0.3100, 0.2873], [0.0228, 0.7355, 0.7127], [0.7272, 0.5145, 0.7873], [0.7272, 0.9400, 0.2127], [0.6900, 0.9772, 0.7127], [0.2645, 0.9772, 0.2873], [0.4855, 0.2728, 0.2127], [0.8750, 0.1250, 0.7500], [0.8750, 0.6250, 0.7500], [0.3750, 0.1250, 0.2500], [0.8750, 0.1250, 0.2500], [0.5328, 0.8727, 0.6601], [0.5374, 0.3773, 0.1601], [0.2126, 0.8727, 0.3399], [0.1273, 0.7874, 0.6601], [0.2172, 0.3773, 0.8399], [0.6227, 0.4626, 0.8399], [0.6227, 0.7828, 0.1601], [0.1273, 0.4672, 0.3399]], "total_magnetization_mub_per_cell": 0.00, "vol_a3_per_atom": 17.8, "sg": "I4_1/amd"}

Bottom line: Q, by a margin of 27.0 kJ/mol of atoms.

P:
{"formula": "DyP3O9", "functional": "GGA-PBE", "state": "optimized geometry", "lattice": [[3.4588, 7.2219, 0.0000], [-3.4588, 7.2219, 0.0000], [0.0000, 6.1750, 8.1990]], "species": ["O", "O", "O", "O", "O", "O", "O", "O", "O", "O", "O", "O", "O", "O", "O", "O", "O", "O", "P", "P", "P", "P", "P", "P", "Dy", "Dy"], "frac_coords": [[0.3014, 0.3513, 0.9523], [0.5213, 0.2272, 0.1258], [0.7714, 0.8433, 0.3632], [0.8433, 0.7714, 0.8632], [0.8077, 0.1920, 0.4188], [0.6166, 0.5661, 0.1076], [0.5661, 0.6166, 0.6076], [0.1884, 0.1544, 0.2558], [0.2272, 0.5213, 0.6258], [0.0346, 0.0822, 0.0634], [0.1920, 0.8077, 0.9188], [0.4484, 0.9226, 0.8889], [0.5326, 0.9336, 0.0900], [0.3513, 0.3014, 0.4523], [0.9336, 0.5326, 0.5900], [0.0822, 0.0346, 0.5634], [0.1544, 0.1884, 0.7558], [0.9226, 0.4484, 0.3889], [0.3882, 0.1865, 0.0959], [0.1946, 0.9920, 0.9211], [0.9920, 0.1946, 0.4211], [0.6228, 0.7826, 0.9875], [0.1865, 0.3882, 0.5959], [0.7826, 0.6228, 0.4875], [0.2060, 0.6889, 0.7544], [0.6889, 0.2060, 0.2544]], "vol_a3_per_atom": 15.8, "sg": "Cc"}

Q:
{"formula": "DyP3O9", "functional": "GGA-PBE", "state": "optimized geometry", "lattice": [[-9.6313, -1.6141, -0.7740], [1.0770, -6.9086, 1.0053], [-1.0623, 1.0686, 10.9905]], "species": ["O", "O", "O", "O", "O", "O", "O", "O", "O", "O", "O", "O", "O", "O", "O", "O", "O", "O", "O", "O", "O", "O", "O", "O", "O", "O", "O", "O", "O", "O", "O", "O", "O", "O", "O", "O", "P", "P", "P", "P", "P", "P", "P", "P", "P", "P", "P", "P", "Dy", "Dy", "Dy", "Dy"], "frac_coords": [[0.9086, 0.2717, 0.6055], [0.4489, 0.0508, 0.3056], [0.1254, 0.3491, 0.1965], [0.7500, 0.0106, 0.4239], [0.0511, 0.0508, 0.3056], [0.6254, 0.6509, 0.8035], [0.4144, 0.6492, 0.6793], [0.4159, 0.8278, 0.8782], [0.4086, 0.7283, 0.3945], [0.9159, 0.1722, 0.1218], [0.3719, 0.2039, 0.7228], [0.5841, 0.1722, 0.1218], [0.9103, 0.2203, 0.8369], [0.2500, 0.3516, 0.5389], [0.2500, 0.4889, 0.0165], [0.5897, 0.2203, 0.8369], [0.7500, 0.5111, 0.9835], [0.0897, 0.7797, 0.1631], [0.0841, 0.8278, 0.8782], [0.2500, 0.9894, 0.5761], [0.7500, 0.8741, 0.9451], [0.7500, 0.6484, 0.4611], [0.9144, 0.3508, 0.3207], [0.9489, 0.9492, 0.6944], [0.8746, 0.6509, 0.8035], [0.6281, 0.7961, 0.2772], [0.0856, 0.6492, 0.6793], [0.8719, 0.7961, 0.2772], [0.5914, 0.2717, 0.6055], [0.1281, 0.2039, 0.7228], [0.4103, 0.7797, 0.1631], [0.5511, 0.9492, 0.6944], [0.0914, 0.7283, 0.3945], [0.2500, 0.1259, 0.0549], [0.5856, 0.3508, 0.3207], [0.3746, 0.3491, 0.1965], [0.2500, 0.1843, 0.6261], [0.7500, 0.6782, 0.8968], [0.2500, 0.3218, 0.1032], [0.0340, 0.8267, 0.2839], [0.0098, 0.7665, 0.7676], [0.9902, 0.2335, 0.2324], [0.4660, 0.8267, 0.2839], [0.4902, 0.7665, 0.7676], [0.7500, 0.8157, 0.3739], [0.9660, 0.1733, 0.7161], [0.5340, 0.1733, 0.7161], [0.5098, 0.2335, 0.2324], [0.2500, 0.8111, 0.0181], [0.2500, 0.6723, 0.5367], [0.7500, 0.3277, 0.4633], [0.7500, 0.1889, 0.9819]], "vol_a3_per_atom": 14.8, "sg": "P2_1/m"}

Bottom line: Q, by a margin of 0.7 kJ/mol of atoms.